i | An optimized crystal structure of Li4Mn3Nb3Sb2O16. Source: Materials Project, functional GGA+U.

Computed properties:
- Total moment: 14.0 μB per formula unit
- Density: 4.46 g/cm3

abc: 6.157 6.325 10.553
angles: 89.74 89.66 61.50
Space group P1 (No. 1)
One atom of each set of equivalent atoms:
Li  0.000  0.000  0.000 x1
Li  0.007  0.989  0.483 x1
Li  0.361  0.295  0.391 x1
Li  0.684  0.651  0.886 x1
Mn  0.177  0.660  0.703 x1
Mn  0.346  0.827  0.214 x1
Mn  0.842  0.821  0.214 x1
Nb  0.172  0.167  0.714 x1
Nb  0.669  0.167  0.715 x1
Nb  0.830  0.340  0.230 x1
Sb  0.326  0.343  0.021 x1
Sb  0.657  0.700  0.495 x1
O  0.003  0.000  0.814 x1
O  0.006  0.450  0.333 x1
O  0.024  0.459  0.805 x1
O  0.147  0.681  0.105 x1
O  0.161  0.164  0.102 x1
O  0.316  0.865  0.588 x1
O  0.362  0.292  0.604 x1
O  0.498  0.008  0.813 x1
O  0.531  0.460  0.805 x1
O  0.535  0.474  0.327 x1
O  0.557  0.935  0.342 x1
O  0.674  0.172  0.102 x1
O  0.708  0.641  0.116 x1
O  0.834  0.859  0.593 x1
O  0.875  0.264  0.604 x1
O  0.985  0.996  0.302 x1

ii | An optimized crystal structure of Li4Mn3Nb3Sb2O16. Source: Materials Project, functional GGA+U.

Computed properties:
- Total moment: 14.0 μB per formula unit
- Density: 4.47 g/cm3

abc: 11.098 6.160 10.542
angles: 90.00 90.36 90.00
Space group Cm (No. 8)
One atom of each set of equivalent atoms:
Li  0.000  0.000  0.000 x2
Li  0.004  0.000  0.485 x2
Li  0.156  0.500  0.096 x2
Li  0.332  0.000  0.586 x2
Mn  0.337  0.500  0.780 x2
Mn  0.419  0.246  0.271 x4
Nb  0.090  0.251  0.769 x4
Nb  0.177  0.000  0.256 x2
Sb  0.178  0.500  0.464 x2
Sb  0.358  0.000  0.990 x2
O  0.005  0.000  0.182 x2
O  0.006  0.000  0.670 x2
O  0.011  0.500  0.671 x2
O  0.089  0.241  0.384 x4
O  0.139  0.000  0.880 x2
O  0.151  0.500  0.881 x2
O  0.235  0.247  0.678 x4
O  0.238  0.230  0.157 x4
O  0.327  0.000  0.372 x2
O  0.345  0.500  0.379 x2
O  0.436  0.258  0.893 x4
O  0.476  0.000  0.142 x2

Result of the stability comparison: ii is the least stable of them.

i | An optimized crystal structure of Li3Mn3NiO8. Source: Materials Project, functional GGA+U.

Computed properties:
- Total moment: 0.1 μB per formula unit
- Density: 4.42 g/cm3

abc: 5.886 10.021 9.496
angles: 90.00 90.63 90.00
Space group Cc (No. 9)
One atom of each set of equivalent atoms:
Li  0.000  0.086  0.000 x4
Li  0.022  0.411  0.500 x4
Li  0.257  0.173  0.500 x4
Mn  0.010  0.084  0.729 x4
Mn  0.013  0.416  0.229 x4
Mn  0.262  0.167  0.230 x4
Ni  0.265  0.333  0.951 x4
O  0.032  0.079  0.344 x4
O  0.035  0.257  0.108 x4
O  0.239  0.325  0.350 x4
O  0.258  0.484  0.108 x4
O  0.268  0.157  0.841 x4
O  0.285  0.007  0.115 x4
O  0.484  0.256  0.111 x4
O  0.499  0.079  0.342 x4

ii | An optimized crystal structure of Li3Mn3NiO8. Source: Materials Project, functional GGA+U.

Computed properties:
- Total moment: 12.0 μB per formula unit
- Density: 4.61 g/cm3

abc: 5.6969 5.6969 9.5396
angles: 90.00 90.00 120.00
Space group P6_3mc (No. 186)
One atom of each set of equivalent atoms:
Li  0.1724  0.3448  0.0000 x6
Mn  0.1668  0.3335  0.7312 x6
Ni  0.3333  0.6667  0.4561 x2
O  0.0000  0.0000  0.1228 x2
O  0.0281  0.5140  0.6091 x6
O  0.1591  0.3182  0.3439 x6
O  0.3333  0.6667  0.8425 x2

iii | An optimized crystal structure of Li3Mn3NiO8. Source: Materials Project, functional GGA+U.

Computed properties:
- Total moment: 12.0 μB per formula unit
- Density: 4.24 g/cm3

abc: 5.775 5.885 5.933
angles: 119.46 118.86 90.26
Space group P-1 (No. 2)
One atom of each set of equivalent atoms:
Li  0.000  0.000  0.000 x1
Li  0.000  0.500  0.500 x1
Li  0.500  0.000  0.000 x1
Mn  0.000  0.000  0.500 x1
Mn  0.500  0.000  0.500 x1
Mn  0.500  0.500  0.000 x1
Ni  0.000  0.500  0.000 x1
O  0.236  0.241  0.948 x2
O  0.237  0.209  0.479 x2
O  0.244  0.777  0.495 x2
O  0.283  0.758  0.043 x2

iv | An optimized crystal structure of Li3Mn3NiO8. Source: Materials Project, functional GGA+U.

Computed properties:
- Total moment: 12.0 μB per formula unit
- Density: 4.21 g/cm3

abc: 10.446 5.790 5.810
angles: 90.00 123.22 90.00
Space group C2/m (No. 12)
One atom of each set of equivalent atoms:
Li  0.000  0.000  0.000 x2
Li  0.250  0.250  0.000 x4
Mn  0.000  0.500  0.500 x2
Mn  0.250  0.250  0.500 x4
Ni  0.000  0.000  0.500 x2
O  0.028  0.258  0.297 x8
O  0.241  0.000  0.261 x4
O  0.241  0.000  0.719 x4

Result of the stability comparison: i is the least stable of them.

i | An optimized crystal structure of Li2Mn3NiO8. Source: Materials Project, functional GGA+U.

Computed properties:
- Total moment: 11.0 μB per formula unit
- Maximum piezoelectric response: 0.0 C/m²
- Density: 4.27 g/cm3

abc: 8.284 8.284 8.284
angles: 90.00 90.00 90.00
Space group P4_332 (No. 212)
One atom of each set of equivalent atoms:
Li  0.004  0.004  0.004 x8
Mn  0.121  0.129  0.625 x12
Ni  0.125  0.875  0.375 x4
O  0.101  0.124  0.392 x24
O  0.116  0.616  0.884 x8

ii | An optimized crystal structure of Li2Mn3NiO8. Source: Materials Project, functional GGA+U.

Computed properties:
- Total moment: 11.0 μB per formula unit
- Density: 4.25 g/cm3

abc: 8.276 8.320 8.291
angles: 90.00 90.24 90.00
Space group P2_1 (No. 4)
One atom of each set of equivalent atoms:
Li  0.003  0.000  0.253 x2
Li  0.125  0.126  0.624 x2
Li  0.377  0.876  0.126 x2
Li  0.496  0.003  0.751 x2
Mn  0.123  0.373  0.376 x2
Mn  0.124  0.627  0.122 x2
Mn  0.126  0.874  0.877 x2
Mn  0.373  0.377  0.623 x2
Mn  0.374  0.628  0.877 x2
Mn  0.377  0.130  0.378 x2
Ni  0.248  0.754  0.493 x2
Ni  0.254  0.251  0.998 x2
O  0.103  0.870  0.641 x2
O  0.110  0.104  0.877 x2
O  0.110  0.385  0.136 x2
O  0.120  0.852  0.107 x2
O  0.123  0.609  0.354 x2
O  0.134  0.639  0.887 x2
O  0.139  0.377  0.601 x2
O  0.146  0.144  0.372 x2
O  0.356  0.857  0.875 x2
O  0.358  0.623  0.104 x2
O  0.364  0.365  0.387 x2
O  0.375  0.392  0.853 x2
O  0.381  0.151  0.607 x2
O  0.385  0.617  0.636 x2
O  0.395  0.902  0.382 x2
O  0.399  0.127  0.141 x2

iii | An optimized crystal structure of Li2Mn3NiO8. Source: Materials Project, functional GGA+U.

Computed properties:
- Total moment: 11.1 μB per formula unit
- Maximum piezoelectric response: 0.3 C/m²
- Density: 4.35 g/cm3

abc: 5.7974 5.7974 9.5829
angles: 90.00 90.00 120.00
Space group P6_3mc (No. 186)
One atom of each set of equivalent atoms:
Li  0.0000  0.0000  0.0000 x2
Li  0.3333  0.6667  0.3870 x2
Mn  0.1687  0.3374  0.7163 x6
Ni  0.3333  0.6667  0.9904 x2
O  0.0000  0.0000  0.3132 x2
O  0.0351  0.5175  0.8318 x6
O  0.1585  0.3170  0.1082 x6
O  0.3333  0.6667  0.6100 x2

Result of the stability comparison: ii is the least stable of them.

i | An optimized crystal structure of Li2Mn3NiO8. Source: Materials Project, functional GGA+U.

Computed properties:
- Total moment: 11.0 μB per formula unit
- Density: 4.21 g/cm3

abc: 10.062 5.829 5.930
angles: 90.00 123.97 90.00
Space group C2/m (No. 12)
One atom of each set of equivalent atoms:
Li  0.000  0.000  0.000 x2
Li  0.000  0.500  0.000 x2
Mn  0.000  0.000  0.500 x2
Mn  0.250  0.250  0.500 x4
Ni  0.000  0.500  0.500 x2
O  0.019  0.236  0.287 x8
O  0.236  0.000  0.706 x4
O  0.246  0.500  0.706 x4

ii | An optimized crystal structure of Li2Mn3NiO8. Source: Materials Project, functional GGA+U.

Computed properties:
- Total moment: 11.0 μB per formula unit
- Density: 4.26 g/cm3

abc: 8.293 8.293 8.293
angles: 90.00 90.00 90.00
Space group P2_13 (No. 198)
One atom of each set of equivalent atoms:
Li  0.125  0.125  0.125 x4
Li  0.247  0.753  0.253 x4
Mn  0.124  0.625  0.628 x12
Ni  0.002  0.998  0.498 x4
O  0.102  0.107  0.873 x12
O  0.114  0.386  0.614 x4
O  0.125  0.853  0.637 x12
O  0.140  0.640  0.860 x4

Result of the stability comparison: i is the least stable of them.